1.
## LiNbS2 (PBE)

Data for LiNbS2 after structural relaxation.

The symmetry is No. 194. The energy comes out at -50.99 eV per cell.

Cell lengths 3.3835, 3.3835, 12.9477 Å; angles 90.00, 90.00, 120.00 degrees
Closest atoms and distances in Å follow each position.
Fractional positions:
Li1 0.0000 0.0000 0.0000  6 S 2.56
Li2 0.0000 0.0000 0.5000  6 S 2.56
Nb1 0.0000 0.0000 0.2500  6 S 2.51
Nb2 0.0000 0.0000 0.7500  6 S 2.51
S1 0.3333 0.6667 0.1279  3 Nb 2.51, 3 Li 2.56
S2 0.3333 0.6667 0.3721  3 Nb 2.51, 3 Li 2.56
S3 0.6667 0.3333 0.6279  3 Nb 2.51, 3 Li 2.56
S4 0.6667 0.3333 0.8721  3 Nb 2.51, 3 Li 2.56



2.
## SbH2CSO3F9 (PBE)

Data for SbH2CSO3F9 after structural relaxation.

Its size of the total moment is 0.077 μB per formula unit. The symmetry is No. 2. The energy comes out at -169.15 eV per cell.

Cell lengths 7.6602, 8.0056, 9.2790 Å; angles 68.63, 73.58, 84.86 degrees
Closest atoms and distances in Å follow each position.
Fractional positions:
Sb1 0.1307 0.3986 0.2489  6 F 1.90-1.99
Sb2 0.8693 0.6014 0.7511  6 F 1.90-1.99
H1 0.0939 0.1827 0.6300  1 O 1.03
H2 0.2174 0.7643 0.9741  1 O 1.08
H3 0.7826 0.2357 0.0259  1 O 1.08
H4 0.9061 0.8173 0.3700  1 O 1.03
C1 0.4663 0.1748 0.7248  3 F 1.34
C2 0.5337 0.8252 0.2752  3 F 1.34
S1 0.2801 0.0151 0.7540  3 O 1.42-1.54
S2 0.7199 0.9849 0.2460  3 O 1.42-1.54
O1 0.1124 0.1351 0.7443  1 H 1.03
O2 0.2490 0.9064 0.9303  1 H 1.08
O3 0.3313 0.9274 0.6405  1 S 1.42
O4 0.6687 0.0726 0.3595  1 S 1.42
O5 0.7510 0.0936 0.0697  1 H 1.08
O6 0.8876 0.8649 0.2557  1 H 1.03
F1 0.0804 0.2316 0.1627  1 Sb 1.90
F2 0.0828 0.2172 0.4652  1 H 1.48
F3 0.1187 0.5399 0.7154  1 Sb 1.90
F4 0.1827 0.5722 0.3280  1 Sb 1.91
F5 0.1842 0.5903 0.0331  1 H 1.32
F6 0.3794 0.3339 0.2049  1 Sb 1.90
F7 0.3807 0.9200 0.2731  1 C 1.34
F8 0.4232 0.2411 0.8434  1 C 1.34
F9 0.4825 0.3061 0.5822  1 C 1.34
F10 0.5175 0.6939 0.4178  1 C 1.34
F11 0.5768 0.7589 0.1566  1 C 1.34
F12 0.6193 0.0800 0.7269  1 C 1.34
F13 0.6206 0.6661 0.7951  1 Sb 1.90
F14 0.8158 0.4097 0.9669  1 H 1.32
F15 0.8173 0.4278 0.6720  1 Sb 1.91
F16 0.8813 0.4601 0.2846  1 Sb 1.90
F17 0.9172 0.7828 0.5348  1 H 1.48
F18 0.9196 0.7684 0.8373  1 Sb 1.90



3.
## Zr2Co4P3 (PBE)

Data for Zr2Co4P3 after structural relaxation.

The symmetry is No. 189. The energy comes out at -283.81 eV per cell.

Cell lengths 12.1197, 12.1197, 3.6697 Å; angles 90.00, 90.00, 120.00 degrees
Closest atoms and distances in Å follow each position.
Fractional positions:
Zr1 0.0000 0.1768 0.0000  6 P 2.75-2.82, 8 Co 2.82-2.98
Zr2 0.0000 0.5565 0.5000  5 P 2.55-2.65, 8 Co 2.71-2.82
Zr3 0.1768 0.0000 0.0000  6 P 2.75-2.82, 8 Co 2.82-2.98
Zr4 0.3333 0.6667 0.5000  6 P 2.79, 9 Co 3.02-3.09
Zr5 0.4435 0.4435 0.5000  5 P 2.55-2.65, 8 Co 2.71-2.82
Zr6 0.5565 0.0000 0.5000  5 P 2.55-2.65, 8 Co 2.71-2.82
Zr7 0.6667 0.3333 0.5000  6 P 2.79, 9 Co 3.02-3.09
Zr8 0.8232 0.8232 0.0000  6 P 2.75-2.82, 8 Co 2.82-2.98
Co1 0.0000 0.0000 0.5000  3 P 2.13
Co2 0.0000 0.7229 0.0000  4 P 2.21-2.31
Co3 0.1258 0.4806 0.0000  4 P 2.20-2.42
Co4 0.1792 0.8071 0.5000  4 P 2.20-2.28
Co5 0.1929 0.3721 0.5000  4 P 2.20-2.28
Co6 0.2771 0.2771 0.0000  4 P 2.21-2.31
Co7 0.3548 0.8742 0.0000  4 P 2.20-2.42
Co8 0.3721 0.1929 0.5000  4 P 2.20-2.28
Co9 0.4806 0.1258 0.0000  4 P 2.20-2.42
Co10 0.5194 0.6452 0.0000  4 P 2.20-2.42
Co11 0.6279 0.8208 0.5000  4 P 2.20-2.28
Co12 0.6452 0.5194 0.0000  4 P 2.20-2.42
Co13 0.7229 0.0000 0.0000  4 P 2.21-2.31
Co14 0.8071 0.1792 0.5000  4 P 2.20-2.28
Co15 0.8208 0.6279 0.5000  4 P 2.20-2.28
Co16 0.8742 0.3548 0.0000  4 P 2.20-2.42
P1 0.0000 0.3458 0.5000  6 Co 2.20-2.42
P2 0.0000 0.8244 0.5000  5 Co 2.13-2.28
P3 0.1737 0.6924 0.0000  5 Co 2.20-2.33
P4 0.1756 0.1756 0.5000  5 Co 2.13-2.28
P5 0.3076 0.4813 0.0000  5 Co 2.20-2.33
P6 0.3458 0.0000 0.5000  6 Co 2.20-2.42
P7 0.4813 0.3076 0.0000  5 Co 2.20-2.33
P8 0.5187 0.8263 0.0000  5 Co 2.20-2.33
P9 0.6542 0.6542 0.5000  6 Co 2.20-2.42
P10 0.6924 0.1737 0.0000  5 Co 2.20-2.33
P11 0.8244 0.0000 0.5000  5 Co 2.13-2.28
P12 0.8263 0.5187 0.0000  5 Co 2.20-2.33



4.
## TbErHg2 (PBE)

Data for TbErHg2 after structural relaxation.

The symmetry is No. 225. The energy comes out at -46.89 eV per cell.

Cell lengths 7.4485, 7.4485, 7.4485 Å; angles 90.00, 90.00, 90.00 degrees
Closest atoms and distances in Å follow each position.
Fractional positions:
Tb1 0.0000 0.0000 0.0000  8 Hg 3.23
Tb2 0.0000 0.5000 0.5000  8 Hg 3.23
Tb3 0.5000 0.0000 0.5000  8 Hg 3.23
Tb4 0.5000 0.5000 0.0000  8 Hg 3.23
Er1 0.0000 0.0000 0.5000  8 Hg 3.23
Er2 0.0000 0.5000 0.0000  8 Hg 3.23
Er3 0.5000 0.0000 0.0000  8 Hg 3.23
Er4 0.5000 0.5000 0.5000  8 Hg 3.23
Hg1 0.2500 0.2500 0.2500  4 Tb 3.23, 4 Er 3.23
Hg2 0.2500 0.2500 0.7500  4 Tb 3.23, 4 Er 3.23
Hg3 0.2500 0.7500 0.2500  4 Tb 3.23, 4 Er 3.23
Hg4 0.2500 0.7500 0.7500  4 Tb 3.23, 4 Er 3.23
Hg5 0.7500 0.2500 0.2500  4 Tb 3.23, 4 Er 3.23
Hg6 0.7500 0.2500 0.7500  4 Tb 3.23, 4 Er 3.23
Hg7 0.7500 0.7500 0.2500  4 Tb 3.23, 4 Er 3.23
Hg8 0.7500 0.7500 0.7500  4 Tb 3.23, 4 Er 3.23



5.
## PrMgB5O10 (PBE)

Data for PrMgB5O10 after structural relaxation.

Its size of the total moment is 0.000 μB per formula unit. The symmetry is No. 14. The energy comes out at -540.05 eV per cell.

Cell lengths 8.7720, 7.6954, 12.6648 Å; angles 90.00, 131.14, 90.00 degrees
Closest atoms and distances in Å follow each position.
Fractional positions:
Pr1 0.0514 0.1830 0.2352  6 O 2.37-2.60
Pr2 0.0514 0.3170 0.7352  6 O 2.37-2.60
Pr3 0.9486 0.6830 0.2648  6 O 2.37-2.60
Pr4 0.9486 0.8170 0.7648  6 O 2.37-2.60
Mg1 0.4815 0.5903 0.8758  5 O 2.08-2.25
Mg2 0.4815 0.9097 0.3758  5 O 2.08-2.25
Mg3 0.5185 0.0903 0.6242  5 O 2.08-2.25
Mg4 0.5185 0.4097 0.1242  5 O 2.08-2.25
B1 0.0919 0.6739 0.6067  4 O 1.46-1.50
B2 0.0919 0.8261 0.1067  4 O 1.46-1.50
B3 0.1576 0.5979 0.0022  3 O 1.35-1.40
B4 0.1576 0.9021 0.5022  3 O 1.35-1.40
B5 0.2748 0.0338 0.0559  4 O 1.46-1.51
B6 0.2748 0.4662 0.5559  4 O 1.46-1.51
B7 0.3481 0.5792 0.2615  4 O 1.47-1.50
B8 0.3481 0.9208 0.7615  4 O 1.47-1.50
B9 0.4828 0.1846 0.9130  3 O 1.37-1.38
B10 0.4828 0.3154 0.4130  3 O 1.37-1.38
B11 0.5172 0.6846 0.5870  3 O 1.37-1.38
B12 0.5172 0.8154 0.0870  3 O 1.37-1.38
B13 0.6519 0.0792 0.2385  4 O 1.47-1.50
B14 0.6519 0.4208 0.7385  4 O 1.47-1.50
B15 0.7252 0.5338 0.4441  4 O 1.46-1.51
B16 0.7252 0.9662 0.9441  4 O 1.46-1.51
B17 0.8424 0.0979 0.4978  3 O 1.35-1.40
B18 0.8424 0.4021 0.9978  3 O 1.35-1.40
B19 0.9081 0.1739 0.8933  4 O 1.46-1.50
B20 0.9081 0.3261 0.3933  4 O 1.46-1.50
O1 0.0304 0.7250 0.9862  2 B 1.40-1.46
O2 0.0304 0.7750 0.4862  2 B 1.40-1.46
O3 0.0892 0.1082 0.9191  2 B 1.48-1.51
O4 0.0892 0.3918 0.4191  2 B 1.48-1.51
O5 0.1245 0.5464 0.8867  1 B 1.35
O6 0.1245 0.9536 0.3867  1 B 1.35
O7 0.2049 0.7142 0.2340  2 B 1.48-1.49
O8 0.2049 0.7858 0.7340  2 B 1.48-1.49
O9 0.2340 0.5269 0.6478  2 B 1.50
O10 0.2340 0.9731 0.1478  2 B 1.50
O11 0.3162 0.5335 0.1331  2 B 1.38-1.50
O12 0.3162 0.9665 0.6331  2 B 1.38-1.50
O13 0.3195 0.0836 0.8082  2 B 1.38-1.48
O14 0.3195 0.4164 0.3082  2 B 1.38-1.48
O15 0.3234 0.6225 0.5101  2 B 1.37-1.51
O16 0.3234 0.8775 0.0101  2 B 1.37-1.51
O17 0.4338 0.1541 0.4307  1 B 1.38
O18 0.4338 0.3459 0.9307  1 B 1.38
O19 0.4473 0.1526 0.1330  2 B 1.46-1.47
O20 0.4473 0.3474 0.6330  2 B 1.46-1.47
O21 0.5527 0.6526 0.3670  2 B 1.46-1.47
O22 0.5527 0.8474 0.8670  2 B 1.46-1.47
O23 0.5662 0.6541 0.0693  1 B 1.38
O24 0.5662 0.8459 0.5693  1 B 1.38
O25 0.6766 0.1225 0.9899  2 B 1.37-1.51
O26 0.6766 0.3775 0.4899  2 B 1.37-1.51
O27 0.6805 0.5836 0.6918  2 B 1.38-1.48
O28 0.6805 0.9164 0.1918  2 B 1.38-1.48
O29 0.6838 0.0335 0.3669  2 B 1.38-1.50
O30 0.6838 0.4665 0.8669  2 B 1.38-1.50
O31 0.7660 0.0269 0.8522  2 B 1.50
O32 0.7660 0.4731 0.3522  2 B 1.50
O33 0.7951 0.2142 0.2660  2 B 1.48-1.49
O34 0.7951 0.2858 0.7660  2 B 1.48-1.49
O35 0.8755 0.0464 0.6133  1 B 1.35
O36 0.8755 0.4536 0.1133  1 B 1.35
O37 0.9108 0.6082 0.5809  2 B 1.48-1.51
O38 0.9108 0.8918 0.0809  2 B 1.48-1.51
O39 0.9696 0.2250 0.5138  2 B 1.40-1.46
O40 0.9696 0.2750 0.0138  2 B 1.40-1.46



6.
## Na4CaInP3O12 (PBE)

Data for Na4CaInP3O12 after structural relaxation.

Its size of the total moment is 0.002 μB per formula unit. The energy comes out at -802.59 eV per cell.

Cell lengths 9.3540, 9.3540, 22.5876 Å; angles 90.00, 90.00, 120.00 degrees
Closest atoms and distances in Å follow each position.
Fractional positions:
Na1 0.6368 0.0047 0.2485  5 O 2.44-2.69
Na2 0.3679 0.3632 0.2485  5 O 2.44-2.69
Na3 0.9953 0.6321 0.2485  5 O 2.44-2.69
Na4 0.6368 0.6321 0.7485  5 O 2.44-2.69
Na5 0.9953 0.3632 0.7485  5 O 2.44-2.69
Na6 0.3679 0.0047 0.7485  5 O 2.44-2.69
Na7 0.3035 0.3381 0.5818  5 O 2.44-2.69
Na8 0.0346 0.6965 0.5818  5 O 2.44-2.69
Na9 0.6619 0.9654 0.5818  5 O 2.44-2.69
Na10 0.3035 0.9654 0.0818  5 O 2.44-2.69
Na11 0.6619 0.6965 0.0818  5 O 2.44-2.69
Na12 0.0346 0.3381 0.0818  5 O 2.44-2.69
Na13 0.9702 0.6714 0.9152  5 O 2.44-2.69
Na14 0.7012 0.0298 0.9152  5 O 2.44-2.69
Na15 0.3286 0.2988 0.9152  5 O 2.44-2.69
Na16 0.9702 0.2988 0.4152  5 O 2.44-2.69
Na17 0.3286 0.0298 0.4152  5 O 2.44-2.69
Na18 0.7012 0.6714 0.4152  5 O 2.44-2.69
Na19 0.0000 0.0000 0.4995  6 O 2.55-2.64
Na20 0.0000 0.0000 0.9995  6 O 2.55-2.64
Na21 0.6667 0.3333 0.8329  6 O 2.55-2.64
Na22 0.6667 0.3333 0.3329  6 O 2.55-2.64
Na23 0.3333 0.6667 0.1662  6 O 2.55-2.64
Na24 0.3333 0.6667 0.6662  6 O 2.55-2.64
Ca1 0.0000 0.0000 0.3487  6 O 2.21-2.30
Ca2 0.0000 0.0000 0.8487  6 O 2.21-2.30
Ca3 0.6667 0.3333 0.6820  6 O 2.21-2.30
Ca4 0.6667 0.3333 0.1820  6 O 2.21-2.30
Ca5 0.3333 0.6667 0.0154  6 O 2.21-2.30
Ca6 0.3333 0.6667 0.5154  6 O 2.21-2.30
In1 0.0000 0.0000 0.6530  6 O 2.17-2.23
In2 0.0000 0.0000 0.1530  6 O 2.17-2.23
In3 0.6667 0.3333 0.9864  6 O 2.17-2.23
In4 0.6667 0.3333 0.4864  6 O 2.17-2.23
In5 0.3333 0.6667 0.3197  6 O 2.17-2.23
In6 0.3333 0.6667 0.8197  6 O 2.17-2.23
P1 0.2998 0.9924 0.2510  4 O 1.52-1.58
P2 0.6926 0.7002 0.2510  4 O 1.52-1.58
P3 0.0076 0.3074 0.2510  4 O 1.52-1.58
P4 0.2998 0.3074 0.7510  4 O 1.52-1.58
P5 0.0076 0.7002 0.7510  4 O 1.52-1.58
P6 0.6926 0.9924 0.7510  4 O 1.52-1.58
P7 0.9665 0.3258 0.5843  4 O 1.52-1.58
P8 0.3593 0.0335 0.5843  4 O 1.52-1.58
P9 0.6742 0.6407 0.5843  4 O 1.52-1.58
P10 0.9665 0.6407 0.0843  4 O 1.52-1.58
P11 0.6742 0.0335 0.0843  4 O 1.52-1.58
P12 0.3593 0.3258 0.0843  4 O 1.52-1.58
P13 0.6332 0.6591 0.9177  4 O 1.52-1.58
P14 0.0259 0.3668 0.9177  4 O 1.52-1.58
P15 0.3409 0.9741 0.9177  4 O 1.52-1.58
P16 0.6332 0.9741 0.4177  4 O 1.52-1.58
P17 0.3409 0.3668 0.4177  4 O 1.52-1.58
P18 0.0259 0.6591 0.4177  4 O 1.52-1.58
O1 0.2203 0.0151 0.3063  1 P 1.52
O2 0.7948 0.7797 0.3063  1 P 1.52
O3 0.9849 0.2052 0.3063  1 P 1.52
O4 0.2203 0.2052 0.8063  1 P 1.52
O5 0.9849 0.7797 0.8063  1 P 1.52
O6 0.7948 0.0151 0.8063  1 P 1.52
O7 0.7756 0.9666 0.6943  1 P 1.58
O8 0.1910 0.2244 0.6943  1 P 1.58
O9 0.0334 0.8090 0.6943  1 P 1.58
O10 0.7756 0.8090 0.1943  1 P 1.58
O11 0.0334 0.2244 0.1943  1 P 1.58
O12 0.1910 0.9666 0.1943  1 P 1.58
O13 0.8870 0.3485 0.6396  1 P 1.52
O14 0.4615 0.1130 0.6396  1 P 1.52
O15 0.6515 0.5385 0.6396  1 P 1.52
O16 0.8870 0.5385 0.1396  1 P 1.52
O17 0.6515 0.1130 0.1396  1 P 1.52
O18 0.4615 0.3485 0.1396  1 P 1.52
O19 0.4423 0.3000 0.0276  1 P 1.58
O20 0.8577 0.5577 0.0276  1 P 1.58
O21 0.7000 0.1423 0.0276  1 P 1.58
O22 0.4423 0.1423 0.5276  1 P 1.58
O23 0.7000 0.5577 0.5276  1 P 1.58
O24 0.8577 0.3000 0.5276  1 P 1.58
O25 0.5537 0.6818 0.9729  1 P 1.52
O26 0.1281 0.4463 0.9729  1 P 1.52
O27 0.3182 0.8719 0.9729  1 P 1.52
O28 0.5537 0.8719 0.4729  1 P 1.52
O29 0.3182 0.4463 0.4729  1 P 1.52
O30 0.1281 0.6818 0.4729  1 P 1.52
O31 0.1090 0.6333 0.3609  1 P 1.58
O32 0.5243 0.8910 0.3609  1 P 1.58
O33 0.3667 0.4757 0.3609  1 P 1.58
O34 0.1090 0.4757 0.8609  1 P 1.58
O35 0.3667 0.8910 0.8609  1 P 1.58
O36 0.5243 0.6333 0.8609  1 P 1.58
O37 0.0024 0.8105 0.4133  1 P 1.54
O38 0.8081 0.9976 0.4133  1 P 1.54
O39 0.1895 0.1919 0.4133  1 P 1.54
O40 0.0024 0.1919 0.9133  1 P 1.54
O41 0.1895 0.9976 0.9133  1 P 1.54
O42 0.8081 0.8105 0.9133  1 P 1.54
O43 0.9779 0.1630 0.5863  1 P 1.58
O44 0.1851 0.0221 0.5863  1 P 1.58
O45 0.8370 0.8149 0.5863  1 P 1.58
O46 0.9779 0.8149 0.0863  1 P 1.58
O47 0.8370 0.0221 0.0863  1 P 1.58
O48 0.1851 0.1630 0.0863  1 P 1.58
O49 0.6691 0.1438 0.7466  1 P 1.54
O50 0.4748 0.3309 0.7466  1 P 1.54
O51 0.8562 0.5252 0.7466  1 P 1.54
O52 0.6691 0.5252 0.2466  1 P 1.54
O53 0.8562 0.3309 0.2466  1 P 1.54
O54 0.4748 0.1438 0.2466  1 P 1.54
O55 0.6446 0.4963 0.9196  1 P 1.58
O56 0.8517 0.3554 0.9196  1 P 1.58
O57 0.5037 0.1483 0.9196  1 P 1.58
O58 0.6446 0.1483 0.4196  1 P 1.58
O59 0.5037 0.3554 0.4196  1 P 1.58
O60 0.8517 0.4963 0.4196  1 P 1.58
O61 0.3357 0.4772 0.0799  1 P 1.54
O62 0.1414 0.6643 0.0799  1 P 1.54
O63 0.5228 0.8586 0.0799  1 P 1.54
O64 0.3357 0.8586 0.5799  1 P 1.54
O65 0.5228 0.6643 0.5799  1 P 1.54
O66 0.1414 0.4772 0.5799  1 P 1.54
O67 0.3112 0.8296 0.2529  1 P 1.58
O68 0.5184 0.6888 0.2529  1 P 1.58
O69 0.1704 0.4816 0.2529  1 P 1.58
O70 0.3112 0.4816 0.7529  1 P 1.58
O71 0.1704 0.6888 0.7529  1 P 1.58
O72 0.5184 0.8296 0.7529  1 P 1.58



7.
## ZrSeO (PBE)

Data for ZrSeO after structural relaxation.

Its size of the total moment is 0.000 μB per formula unit. The symmetry is No. 129. The energy comes out at -47.73 eV per cell.

Cell lengths 3.7053, 3.7053, 6.6994 Å; angles 90.00, 90.00, 90.00 degrees
Closest atoms and distances in Å follow each position.
Fractional positions:
Zr1 0.2500 0.2500 0.1854  4 O 2.23
Zr2 0.7500 0.7500 0.8146  4 O 2.23
Se1 0.2500 0.2500 0.6285  5 Zr 2.90-2.97, 4 O 3.10, 4 Se 3.14
Se2 0.7500 0.7500 0.3715  5 Zr 2.90-2.97, 4 O 3.10, 4 Se 3.14
O1 0.2500 0.7500 0.0000  4 Zr 2.23
O2 0.7500 0.2500 0.0000  4 Zr 2.23



8.
## Mn2ZnS4 (PBE)

Data for Mn2ZnS4 after structural relaxation.

Its size of the total moment is 7.838 μB per formula unit. The symmetry is No. 227. The energy comes out at -80.58 eV per cell.

Cell lengths 7.1622, 7.1622, 7.1622 Å; angles 60.00, 60.00, 60.00 degrees
Closest atoms and distances in Å follow each position.
Fractional positions:
Mn1 0.0000 0.0000 0.0000  6 S 2.44
Mn2 0.0000 0.0000 0.5000  6 S 2.44
Mn3 0.0000 0.5000 0.0000  6 S 2.44
Mn4 0.5000 0.0000 0.0000  6 S 2.44
Zn1 0.3750 0.3750 0.3750  4 S 2.35
Zn2 0.6250 0.6250 0.6250  4 S 2.35
S1 0.2227 0.7591 0.7591  1 Zn 2.35, 3 Mn 2.44
S2 0.2409 0.2409 0.2409  1 Zn 2.35, 3 Mn 2.44
S3 0.2409 0.2409 0.7773  1 Zn 2.35, 3 Mn 2.44
S4 0.2409 0.7773 0.2409  1 Zn 2.35, 3 Mn 2.44
S5 0.7591 0.2227 0.7591  1 Zn 2.35, 3 Mn 2.44
S6 0.7591 0.7591 0.2227  1 Zn 2.35, 3 Mn 2.44
S7 0.7591 0.7591 0.7591  1 Zn 2.35, 3 Mn 2.44
S8 0.7773 0.2409 0.2409  1 Zn 2.35, 3 Mn 2.44